# 1
Computed, not measured: a relaxed Y2Mn2O7 crystal at the r2SCAN level of DFT.

Structure (CIF):
```
data_Y2Mn2O7
_symmetry_space_group_name_H-M 'P 1'
_symmetry_Int_Tables_number 1
_symmetry_space_group_name_Hall 'P 1'
_cell_length_a 7.0013
_cell_length_b 7.0013
_cell_length_c 7.0013
_cell_angle_alpha 60.00
_cell_angle_beta 60.00
_cell_angle_gamma 60.00
loop_
_atom_site_label
_atom_site_type_symbol
_atom_site_fract_x
_atom_site_fract_y
_atom_site_fract_z
_atom_site_occupancy
Y1 Y 0.0000 0.0000 0.0000 1
Y2 Y 0.0000 0.0000 0.5000 1
Y3 Y 0.0000 0.5000 0.0000 1
Y4 Y 0.5000 0.0000 0.0000 1
Mn1 Mn 0.0000 0.5000 0.5000 1
Mn2 Mn 0.5000 0.0000 0.5000 1
Mn3 Mn 0.5000 0.5000 0.0000 1
Mn4 Mn 0.5000 0.5000 0.5000 1
O1 O 0.1250 0.1250 0.1250 1
O2 O 0.1724 0.1724 0.5776 1
O3 O 0.1724 0.5776 0.1724 1
O4 O 0.1724 0.5776 0.5776 1
O5 O 0.4224 0.4224 0.8276 1
O6 O 0.4224 0.8276 0.4224 1
O7 O 0.4224 0.8276 0.8276 1
O8 O 0.5776 0.1724 0.1724 1
O9 O 0.5776 0.1724 0.5776 1
O10 O 0.5776 0.5776 0.1724 1
O11 O 0.8276 0.4224 0.4224 1
O12 O 0.8276 0.4224 0.8276 1
O13 O 0.8276 0.8276 0.4224 1
O14 O 0.8750 0.8750 0.8750 1
```

Output
space group	No. 227

# 2
Computed, not measured: a relaxed MnZn4O5 crystal at the r2SCAN level of DFT.

Structure (CIF):
```
data_MnZn4O5
_symmetry_space_group_name_H-M 'P 1'
_symmetry_Int_Tables_number 1
_symmetry_space_group_name_Hall 'P 1'
_cell_length_a 6.1928
_cell_length_b 6.4845
_cell_length_c 12.5059
_cell_angle_alpha 89.94
_cell_angle_beta 86.82
_cell_angle_gamma 105.03
loop_
_atom_site_label
_atom_site_type_symbol
_atom_site_fract_x
_atom_site_fract_y
_atom_site_fract_z
_atom_site_occupancy
O1 O 0.1811 0.5453 0.2873 1
O2 O 0.5794 0.6450 0.6891 1
O3 O 0.7709 0.9431 0.8896 1
O4 O 0.6357 0.9085 0.2536 1
O5 O 0.1811 0.0453 0.2873 1
O6 O 0.2349 0.8098 0.8644 1
O7 O 0.3697 0.3410 0.4895 1
O8 O 0.9723 0.2430 0.0912 1
O9 O 0.3697 0.8410 0.4895 1
O10 O 0.5794 0.1450 0.6891 1
O11 O 0.0380 0.0080 0.6553 1
O12 O 0.8348 0.7056 0.4612 1
O13 O 0.7709 0.4431 0.8896 1
O14 O 0.6357 0.4085 0.2536 1
O15 O 0.0380 0.5080 0.6553 1
O16 O 0.8349 0.2057 0.4612 1
O17 O 0.9723 0.7430 0.0911 1
O18 O 0.4410 0.6101 0.0567 1
O19 O 0.2349 0.3098 0.8644 1
O20 O 0.4410 0.1101 0.0567 1
Zn1 Zn 0.4710 0.8676 0.9673 1
Zn2 Zn 0.3391 0.3344 0.3321 1
Zn3 Zn 0.0673 0.7656 0.5660 1
Zn4 Zn 0.0673 0.2656 0.5660 1
Zn5 Zn 0.5323 0.1312 0.5340 1
Zn6 Zn 0.6687 0.6671 0.1647 1
Zn7 Zn 0.1391 0.0341 0.1315 1
Zn8 Zn 0.6686 0.1671 0.1647 1
Zn9 Zn 0.9310 0.2326 0.9355 1
Zn10 Zn 0.5322 0.6312 0.5340 1
Zn11 Zn 0.3392 0.8344 0.3321 1
Zn12 Zn 0.4710 0.3676 0.9673 1
Zn13 Zn 0.9310 0.7325 0.9355 1
Zn14 Zn 0.7400 0.4348 0.7323 1
Zn15 Zn 0.1391 0.5341 0.1315 1
Zn16 Zn 0.7400 0.9347 0.7323 1
Mn1 Mn 0.2701 0.0689 0.7686 1
Mn2 Mn 0.2701 0.5688 0.7686 1
Mn3 Mn 0.8707 0.4643 0.3651 1
Mn4 Mn 0.8707 0.9643 0.3651 1
```

# 3
Computed, not measured: a relaxed MnZn4O5 crystal at the r2SCAN level of DFT.

Structure (CIF):
```
data_MnZn4O5
_symmetry_space_group_name_H-M 'P 1'
_symmetry_Int_Tables_number 1
_symmetry_space_group_name_Hall 'P 1'
_cell_length_a 3.2631
_cell_length_b 26.5802
_cell_length_c 5.6542
_cell_angle_alpha 83.89
_cell_angle_beta 89.98
_cell_angle_gamma 86.50
loop_
_atom_site_label
_atom_site_type_symbol
_atom_site_fract_x
_atom_site_fract_y
_atom_site_fract_z
_atom_site_occupancy
O1 O 0.7372 0.5260 0.0697 1
O2 O 0.5881 0.8215 0.2568 1
O3 O 0.1883 0.6242 0.8547 1
O4 O 0.4906 0.0188 0.1568 1
O5 O 0.8342 0.3293 0.1685 1
O6 O 0.9389 0.1251 0.2712 1
O7 O 0.7853 0.4276 0.4529 1
O8 O 0.3343 0.3294 0.6685 1
O9 O 0.4389 0.1251 0.7712 1
O10 O 0.6385 0.7228 0.9731 1
O11 O 0.2853 0.4276 0.9529 1
O12 O 0.5398 0.9200 0.8723 1
O13 O 0.2372 0.5260 0.5697 1
O14 O 0.6883 0.6242 0.3547 1
O15 O 0.8901 0.2238 0.5544 1
O16 O 0.0881 0.8215 0.7568 1
O17 O 0.9906 0.0188 0.6568 1
O18 O 0.0398 0.9200 0.3723 1
O19 O 0.3901 0.2238 0.0544 1
O20 O 0.1385 0.7228 0.4731 1
Zn1 Zn 0.7487 0.5030 0.4144 1
Zn2 Zn 0.5516 0.8965 0.2172 1
Zn3 Zn 0.5995 0.7980 0.9355 1
Zn4 Zn 0.2487 0.5030 0.9144 1
Zn5 Zn 0.5024 0.9948 0.8355 1
Zn6 Zn 0.1997 0.6011 0.5330 1
Zn7 Zn 0.0995 0.7980 0.4355 1
Zn8 Zn 0.4020 0.1995 0.7331 1
Zn9 Zn 0.6997 0.6011 0.0330 1
Zn10 Zn 0.2964 0.4047 0.6311 1
Zn11 Zn 0.6501 0.6994 0.3182 1
Zn12 Zn 0.7964 0.4047 0.1311 1
Zn13 Zn 0.0024 0.9948 0.3355 1
Zn14 Zn 0.0516 0.8965 0.7172 1
Zn15 Zn 0.1502 0.6994 0.8182 1
Zn16 Zn 0.9020 0.1995 0.2332 1
Mn1 Mn 0.3481 0.3014 0.0156 1
Mn2 Mn 0.9534 0.0964 0.6188 1
Mn3 Mn 0.4534 0.0964 0.1188 1
Mn4 Mn 0.8482 0.3014 0.5156 1
```

# 4
Computed, not measured: a relaxed MnZnO3 crystal at the r2SCAN level of DFT.

Structure (CIF):
```
data_MnZnO3
_symmetry_space_group_name_H-M 'P 1'
_symmetry_Int_Tables_number 1
_symmetry_space_group_name_Hall 'P 1'
_cell_length_a 5.4044
_cell_length_b 5.4044
_cell_length_c 5.4044
_cell_angle_alpha 54.57
_cell_angle_beta 54.57
_cell_angle_gamma 54.57
loop_
_atom_site_label
_atom_site_type_symbol
_atom_site_fract_x
_atom_site_fract_y
_atom_site_fract_z
_atom_site_occupancy
Mn1 Mn 0.1590 0.1590 0.1590 1
Mn2 Mn 0.8410 0.8410 0.8410 1
Zn1 Zn 0.3658 0.3658 0.3658 1
Zn2 Zn 0.6342 0.6342 0.6342 1
O1 O 0.0481 0.7830 0.4379 1
O2 O 0.2170 0.5621 0.9519 1
O3 O 0.4379 0.0481 0.7830 1
O4 O 0.5621 0.9518 0.2170 1
O5 O 0.7830 0.4379 0.0481 1
O6 O 0.9519 0.2170 0.5621 1
```

Output
space group	No. 148

# 5
Computed, not measured: a relaxed Mn3ZnO7 crystal at the r2SCAN level of DFT.

Structure (CIF):
```
data_Mn3ZnO7
_symmetry_space_group_name_H-M 'P 1'
_symmetry_Int_Tables_number 1
_symmetry_space_group_name_Hall 'P 1'
_cell_length_a 6.4448
_cell_length_b 6.4448
_cell_length_c 6.4448
_cell_angle_alpha 71.56
_cell_angle_beta 71.56
_cell_angle_gamma 71.56
loop_
_atom_site_label
_atom_site_type_symbol
_atom_site_fract_x
_atom_site_fract_y
_atom_site_fract_z
_atom_site_occupancy
Mn1 Mn 0.0797 0.6402 0.7853 1
Mn2 Mn 0.2147 0.9203 0.3598 1
Mn3 Mn 0.3598 0.2147 0.9203 1
Mn4 Mn 0.6402 0.7853 0.0797 1
Mn5 Mn 0.7853 0.0797 0.6402 1
Mn6 Mn 0.9203 0.3598 0.2147 1
Zn1 Zn 0.3721 0.3721 0.3721 1
Zn2 Zn 0.6279 0.6279 0.6279 1
O1 O 0.0549 0.3377 0.9060 1
O2 O 0.0940 0.9451 0.6623 1
O3 O 0.1690 0.6328 0.4813 1
O4 O 0.2354 0.2354 0.2354 1
O5 O 0.3377 0.9060 0.0549 1
O6 O 0.3672 0.5187 0.8310 1
O7 O 0.4813 0.1690 0.6328 1
O8 O 0.5187 0.8310 0.3672 1
O9 O 0.6328 0.4813 0.1690 1
O10 O 0.6623 0.0940 0.9451 1
O11 O 0.7646 0.7646 0.7646 1
O12 O 0.8310 0.3672 0.5187 1
O13 O 0.9060 0.0549 0.3377 1
O14 O 0.9451 0.6623 0.0940 1
```

Output
space group	No. 148

# 6
Computed, not measured: a relaxed MnOs3 crystal at the r2SCAN level of DFT.

Structure (CIF):
```
data_MnOs3
_symmetry_space_group_name_H-M 'P 1'
_symmetry_Int_Tables_number 1
_symmetry_space_group_name_Hall 'P 1'
_cell_length_a 5.4137
_cell_length_b 5.4137
_cell_length_c 4.2682
_cell_angle_alpha 90.00
_cell_angle_beta 90.00
_cell_angle_gamma 120.00
loop_
_atom_site_label
_atom_site_type_symbol
_atom_site_fract_x
_atom_site_fract_y
_atom_site_fract_z
_atom_site_occupancy
Mn1 Mn 0.3333 0.6667 0.2500 1
Mn2 Mn 0.6667 0.3333 0.7500 1
Os1 Os 0.1695 0.3389 0.7500 1
Os2 Os 0.1695 0.8305 0.7500 1
Os3 Os 0.3389 0.1695 0.2500 1
Os4 Os 0.6611 0.8305 0.7500 1
Os5 Os 0.8305 0.1695 0.2500 1
Os6 Os 0.8305 0.6611 0.2500 1
```

Output
space group	No. 194

Number 1: E_tot -13.150 eV/atom. Number 2: E_tot -9.721 eV/atom. Number 3: E_tot -9.707 eV/atom. Number 4: E_tot -10.218 eV/atom. Number 5: E_tot -10.583 eV/atom. Number 6: E_tot -43.392 eV/atom.